(1)
# CdIBr (PBE, optimized geometry)
data_CdIBr
_symmetry_space_group_name_H-M 'P 1'
_symmetry_Int_Tables_number 1
_symmetry_space_group_name_Hall 'P 1'
_cell_length_a 14.370
_cell_length_b 14.370
_cell_length_c 14.370
_cell_angle_alpha 16.89
_cell_angle_beta 16.89
_cell_angle_gamma 16.89
loop_
_atom_site_label
_atom_site_fract_x
_atom_site_fract_y
_atom_site_fract_z
Cd1 0.000 0.000 0.000
Cd2 0.500 0.500 0.500
I1 0.125 0.125 0.125
I2 0.292 0.292 0.292
Br1 0.702 0.702 0.702
Br2 0.869 0.869 0.869
# ρ: 4854 kg/m3
# V: 109 Å³/f.u.
# SG: R3m, No. 160

=====

(2)
# PmNd3 (PBE, optimized geometry)
data_PmNd3
_symmetry_space_group_name_H-M 'P 1'
_symmetry_Int_Tables_number 1
_symmetry_space_group_name_Hall 'P 1'
_cell_length_a 6.396
_cell_length_b 6.396
_cell_length_c 6.396
_cell_angle_alpha 132.09
_cell_angle_beta 132.09
_cell_angle_gamma 70.09
loop_
_atom_site_label
_atom_site_fract_x
_atom_site_fract_y
_atom_site_fract_z
Pm1 0.000 0.000 0.000
Nd1 0.250 0.750 0.500
Nd2 0.500 0.500 0.000
Nd3 0.750 0.250 0.500
# Offset from the most stable computed form: 3 meV/atom
# ρ: 6792 kg/m3
# V: 141 Å³/f.u.
# SG: I4/mmm, No. 139

=====

(3)
# SrInAu (PBE, optimized geometry)
data_SrInAu
_symmetry_space_group_name_H-M 'P 1'
_symmetry_Int_Tables_number 1
_symmetry_space_group_name_Hall 'P 1'
_cell_length_a 7.778
_cell_length_b 4.857
_cell_length_c 8.627
_cell_angle_alpha 90.00
_cell_angle_beta 90.00
_cell_angle_gamma 90.00
loop_
_atom_site_label
_atom_site_fract_x
_atom_site_fract_y
_atom_site_fract_z
Sr1 0.023 0.250 0.185
Sr2 0.477 0.750 0.685
Sr3 0.523 0.250 0.315
Sr4 0.977 0.750 0.815
In1 0.158 0.250 0.568
In2 0.342 0.750 0.068
In3 0.658 0.250 0.932
In4 0.842 0.750 0.432
Au1 0.217 0.750 0.386
Au2 0.283 0.250 0.886
Au3 0.717 0.750 0.114
Au4 0.783 0.250 0.614
# ρ: 8139 kg/m3
# V: 81 Å³/f.u.
# SG: Pnma, No. 62

=====

Number 1: ΔE_f -0.89 eV per atom. Number 2: ΔE_f 0.01 eV per atom. Number 3: ΔE_f -0.65 eV per atom.